Record 1
First-principles (GGA+U) data for a relaxed structure of Li4MnH6S4O18, as listed in the Materials Project.

Cell and atoms, written as CIF:
```
data_Li4MnH6S4O18
_chemical_formula_sum 'Li16 Mn4 H24 S16 O72'
_symmetry_space_group_name_H-M 'P c c n'
_symmetry_Int_Tables_number 56
_cell_length_a 7.5401
_cell_length_b 19.5886
_cell_length_c 10.2931
_cell_angle_alpha 90.00
_cell_angle_beta 90.00
_cell_angle_gamma 90.00
loop_
_symmetry_equiv_pos_as_xyz
'x,y,z'
'-x,-y,-z'
'-x+1/2,-y+1/2,z'
'x+1/2,y+1/2,-z'
'x+1/2,-y,-z+1/2'
'-x+1/2,y,z+1/2'
'-x,y+1/2,-z+1/2'
'x,-y+1/2,z+1/2'
loop_
_atom_site_label
_atom_site_fract_x
_atom_site_fract_y
_atom_site_fract_z
_atom_site_occupancy
Li1 0.0345 0.1629 0.2105 1
Li2 0.1447 0.5219 0.7242 1
Mn1 0.2500 0.7500 0.1532 1
H1 0.0633 0.2203 0.4390 1
H2 0.0923 0.0590 0.5587 1
H3 0.0975 0.2160 0.8490 1
S1 0.1425 0.6530 0.9078 1
S2 0.2200 0.0725 0.8971 1
O1 0.0137 0.1989 0.5965 1
O2 0.0472 0.2373 0.3479 1
O3 0.0863 0.5815 0.8793 1
O4 0.1040 0.0202 0.8407 1
O5 0.1224 0.0826 0.3126 1
O6 0.1308 0.1364 0.9311 1
O7 0.2128 0.0393 0.5283 1
O8 0.2239 0.6727 0.3058 1
O9 0.2306 0.6568 0.0368 1
```

## Properties
The calculation puts the energy of formation from the pure elements at -1860.0 meV per atom. The calculation puts the raw total energy at -5.76 eV/atom. For the total magnetization, the calculation gives 5.001 μB per formula unit.

---

Record 2
First-principles (GGA+U) data for a relaxed structure of Mn6Zn3O16, as listed in the Materials Project.

Cell and atoms, written as CIF:
```
data_Mn6Zn3O16
_chemical_formula_sum 'Mn12 Zn6 O32'
_symmetry_space_group_name_H-M 'P 1 21 1'
_symmetry_Int_Tables_number 4
_cell_length_a 8.2931
_cell_length_b 8.2953
_cell_length_c 8.3020
_cell_angle_alpha 90.00
_cell_angle_beta 90.39
_cell_angle_gamma 90.00
loop_
_symmetry_equiv_pos_as_xyz
'x,y,z'
'-x,y+1/2,-z'
loop_
_atom_site_label
_atom_site_fract_x
_atom_site_fract_y
_atom_site_fract_z
_atom_site_occupancy
Mn1 0.1244 0.0000 0.3814 1
Mn2 0.1255 0.5022 0.8781 1
Mn3 0.1256 0.2575 0.1228 1
Mn4 0.3714 0.7539 0.3735 1
Mn5 0.3735 0.0038 0.6261 1
Mn6 0.3728 0.2538 0.8749 1
Zn1 0.2412 0.3824 0.4959 1
Zn2 0.2467 0.8775 0.9986 1
Zn3 0.4965 0.6328 0.7522 1
O1 0.0994 0.4938 0.6427 1
O2 0.1056 0.7301 0.8845 1
O3 0.1103 0.4776 0.1024 1
O4 0.1116 0.0171 0.1375 1
O5 0.1390 0.2330 0.3488 1
O6 0.1401 0.2681 0.8888 1
O7 0.1469 0.0170 0.5975 1
O8 0.1511 0.7798 0.3602 1
O9 0.3504 0.4864 0.8636 1
O10 0.3565 0.2430 0.1007 1
O11 0.3653 0.0213 0.8514 1
O12 0.3653 0.9925 0.3877 1
O13 0.3846 0.7788 0.6056 1
O14 0.3863 0.2421 0.6371 1
O15 0.3918 0.5290 0.3863 1
O16 0.3988 0.7663 0.1436 1
```

## Properties
The calculation puts the energy of formation from the pure elements at -1683.0 meV per atom. The calculation puts the raw total energy at -6.36 eV/atom. For the total magnetization, the calculation gives 16.001 μB per formula unit.

---

Record 3
First-principles (GGA+U) data for a relaxed structure of PuCoH24C4N6O13, as listed in the Materials Project.

Cell and atoms, written as CIF:
```
data_PuCoH24C4N6O13
_chemical_formula_sum 'Pu2 Co2 H48 C8 N12 O26'
_symmetry_space_group_name_H-M 'P -1'
_symmetry_Int_Tables_number 2
_cell_length_a 8.2778
_cell_length_b 8.5584
_cell_length_c 14.6087
_cell_angle_alpha 102.20
_cell_angle_beta 100.76
_cell_angle_gamma 107.33
loop_
_symmetry_equiv_pos_as_xyz
'x,y,z'
'-x,-y,-z'
loop_
_atom_site_label
_atom_site_fract_x
_atom_site_fract_y
_atom_site_fract_z
_atom_site_occupancy
Pu1 0.0047 0.3523 0.1355 1
Co1 0.5000 0.0000 0.0000 1
Co2 0.5000 0.0000 0.5000 1
H1 0.0928 0.5944 0.2711 1
H2 0.1016 0.3216 0.6123 1
H3 0.1246 0.2352 0.5283 1
H4 0.1668 0.8387 0.5504 1
H5 0.1856 0.9342 0.9912 1
H6 0.1872 0.8142 0.0944 1
H7 0.1878 0.6161 0.3526 1
H8 0.2077 0.0196 0.0822 1
H9 0.2350 0.9521 0.4342 1
H10 0.2659 0.9351 0.6589 1
H11 0.2690 0.7691 0.4666 1
H12 0.3110 0.4764 0.4707 1
H13 0.3811 0.2112 0.4158 1
H14 0.3825 0.6810 0.0266 1
H15 0.3856 0.8728 0.1847 1
H16 0.3869 0.7774 0.9163 1
H17 0.3912 0.1390 0.6259 1
H18 0.3968 0.0412 0.8499 1
H19 0.4008 0.7111 0.6292 1
H20 0.4264 0.2335 0.0634 1
H21 0.4431 0.5631 0.3619 1
H22 0.4654 0.9904 0.6750 1
H23 0.4896 0.2305 0.8611 1
H24 0.4930 0.6987 0.5205 1
C1 0.1079 0.1826 0.3312 1
C2 0.2266 0.3930 0.9049 1
C3 0.2345 0.1559 0.2462 1
C4 0.3000 0.4788 0.7930 1
N1 0.2408 0.9356 0.0478 1
N2 0.2666 0.8766 0.4866 1
N3 0.3937 0.0191 0.6289 1
N4 0.4573 0.7819 0.9662 1
N5 0.4972 0.2242 0.4342 1
N6 0.4967 0.8864 0.1329 1
O1 0.0195 0.7744 0.6889 1
O2 0.1076 0.6558 0.3202 1
O3 0.1281 0.4614 0.9514 1
O4 0.1357 0.1586 0.4129 1
O5 0.1618 0.8427 0.8693 1
O6 0.1665 0.5498 0.1421 1
O7 0.1902 0.2971 0.5667 1
O8 0.2069 0.1996 0.1628 1
O9 0.2322 0.5865 0.7585 1
O10 0.2635 0.2710 0.9439 1
O11 0.3482 0.0950 0.2630 1
O12 0.3651 0.5840 0.4156 1
O13 0.4177 0.4379 0.7470 1
```

## Properties
The calculation puts the energy of formation from the pure elements at -170.1 meV per atom. The calculation puts the raw total energy at -5.14 eV/atom. For the total magnetization, the calculation gives 2.970 μB per formula unit.

---

Record 4
First-principles (GGA+U) data for a relaxed structure of CaVGe2O6, as listed in the Materials Project.

Cell and atoms, written as CIF:
```
data_CaVGe2O6
_chemical_formula_sum 'Ca4 V4 Ge8 O24'
_symmetry_space_group_name_H-M 'P 1 21/c 1'
_symmetry_Int_Tables_number 14
_cell_length_a 10.3488
_cell_length_b 9.3030
_cell_length_c 5.4232
_cell_angle_alpha 90.00
_cell_angle_beta 104.45
_cell_angle_gamma 90.00
loop_
_symmetry_equiv_pos_as_xyz
'x,y,z'
'-x,-y,-z'
'-x,y+1/2,-z+1/2'
'x,-y+1/2,z+1/2'
loop_
_atom_site_label
_atom_site_fract_x
_atom_site_fract_y
_atom_site_fract_z
_atom_site_occupancy
Ca1 0.2344 0.0467 0.2090 1
V1 0.2557 0.6581 0.2317 1
Ge1 0.0290 0.1522 0.6667 1
Ge2 0.4586 0.1551 0.7765 1
O1 0.0960 0.5159 0.2708 1
O2 0.1100 0.2346 0.4439 1
O3 0.1417 0.6655 0.8460 1
O4 0.3658 0.6553 0.6299 1
O5 0.3676 0.0121 0.6199 1
O6 0.4008 0.1931 0.0615 1
```

## Properties
The calculation puts the energy of formation from the pure elements at -2447.6 meV per atom. The calculation puts the raw total energy at -6.87 eV/atom. For the total magnetization, the calculation gives 3.000 μB per formula unit.

---

Record 5
First-principles (GGA+U) data for a relaxed structure of Li9Mn2Co5O16, as listed in the Materials Project.

Cell and atoms, written as CIF:
```
data_Li9Mn2Co5O16
_chemical_formula_sum 'Li9 Mn2 Co5 O16'
_symmetry_space_group_name_H-M 'P 1'
_symmetry_Int_Tables_number 1
_cell_length_a 5.8691
_cell_length_b 5.8782
_cell_length_c 9.7320
_cell_angle_alpha 91.99
_cell_angle_beta 98.28
_cell_angle_gamma 119.24
loop_
_symmetry_equiv_pos_as_xyz
'x,y,z'
loop_
_atom_site_label
_atom_site_fract_x
_atom_site_fract_y
_atom_site_fract_z
_atom_site_occupancy
Li1 0.0000 0.0000 0.0000 1
Li2 0.9998 0.2471 0.4977 1
Li3 0.2466 0.8683 0.2508 1
Li4 0.2483 0.3722 0.2500 1
Li5 0.5029 0.2504 0.4962 1
Li6 0.5027 0.7606 0.4906 1
Li7 0.7524 0.6278 0.7449 1
Li8 0.7552 0.1278 0.7467 1
Li9 0.9979 0.4925 0.0073 1
Mn1 0.2466 0.6229 0.7444 1
Mn2 0.2486 0.1285 0.7438 1
Co1 0.0033 0.7546 0.4991 1
Co2 0.5004 0.5040 0.0024 1
Co3 0.5057 0.0049 0.0009 1
Co4 0.7573 0.8797 0.2565 1
Co5 0.7600 0.3723 0.2566 1
O1 0.0995 0.5653 0.3778 1
O2 0.1046 0.0238 0.3829 1
O3 0.1299 0.2929 0.8679 1
O4 0.1470 0.8324 0.8601 1
O5 0.3583 0.9503 0.6177 1
O6 0.3628 0.4244 0.6390 1
O7 0.3827 0.6845 0.1137 1
O8 0.4014 0.1940 0.1220 1
O9 0.5982 0.3043 0.8717 1
O10 0.6010 0.8085 0.8751 1
O11 0.6283 0.0534 0.3615 1
O12 0.6519 0.5759 0.3824 1
O13 0.8561 0.6778 0.1273 1
O14 0.8677 0.1763 0.1292 1
O15 0.9060 0.9378 0.6227 1
O16 0.9066 0.4757 0.6168 1
```

## Properties
The calculation puts the energy of formation from the pure elements at -1816.9 meV per atom. The calculation puts the raw total energy at -5.81 eV/atom. For the total magnetization, the calculation gives 7.999 μB per formula unit.

---

Record 6
First-principles (GGA+U) data for a relaxed structure of MgAg6Mo10O33, as listed in the Materials Project.

Cell and atoms, written as CIF:
```
data_MgAg6Mo10O33
_chemical_formula_sum 'Mg1 Ag6 Mo10 O33'
_symmetry_space_group_name_H-M 'P 1'
_symmetry_Int_Tables_number 1
_cell_length_a 7.7515
_cell_length_b 9.0279
_cell_length_c 11.4074
_cell_angle_alpha 73.62
_cell_angle_beta 79.58
_cell_angle_gamma 74.72
loop_
_symmetry_equiv_pos_as_xyz
'x,y,z'
loop_
_atom_site_label
_atom_site_fract_x
_atom_site_fract_y
_atom_site_fract_z
_atom_site_occupancy
Mg1 0.0000 0.0000 0.0000 1
Ag1 0.0502 0.8532 0.4028 1
Ag2 0.2807 0.3826 0.4081 1
Ag3 0.3080 0.8171 0.8434 1
Ag4 0.3809 0.9868 0.4915 1
Ag5 0.8648 0.7582 0.8469 1
Ag6 0.9595 0.4038 0.9107 1
Mo1 0.0617 0.6060 0.1397 1
Mo2 0.1603 0.1814 0.1903 1
Mo3 0.3191 0.5775 0.6488 1
Mo4 0.4264 0.3933 0.9852 1
Mo5 0.4585 0.2045 0.7203 1
Mo6 0.5584 0.6217 0.1250 1
Mo7 0.6626 0.1685 0.2100 1
Mo8 0.7409 0.5815 0.6113 1
Mo9 0.8079 0.3824 0.3481 1
Mo10 0.9190 0.1763 0.6822 1
O1 0.0379 0.7785 0.9885 1
O2 0.0452 0.7141 0.2462 1
O3 0.0688 0.3840 0.2869 1
O4 0.1092 0.0450 0.6353 1
O5 0.1321 0.7086 0.7073 1
O6 0.1587 0.0819 0.0741 1
O7 0.1596 0.4046 0.0426 1
O8 0.1927 0.0454 0.3413 1
O9 0.2523 0.3787 0.7393 1
O10 0.2715 0.5858 0.5016 1
O11 0.3414 0.5624 0.1060 1
O12 0.3665 0.0456 0.8122 1
O13 0.3983 0.5576 0.8538 1
O14 0.4202 0.2159 0.1642 1
O15 0.4301 0.2006 0.5710 1
O16 0.4603 0.7478 0.2183 1
O17 0.4926 0.2392 0.9078 1
O18 0.4970 0.7144 0.6015 1
O19 0.5711 0.4127 0.6612 1
O20 0.5862 0.3857 0.2886 1
O21 0.5961 0.7457 0.9769 1
O22 0.6283 0.0400 0.3538 1
O23 0.6447 0.3891 0.0412 1
O24 0.7168 0.0860 0.7193 1
O25 0.7372 0.5402 0.4221 1
O26 0.7764 0.5748 0.7623 1
O27 0.7769 0.0425 0.1127 1
O28 0.8111 0.5626 0.1618 1
O29 0.8404 0.2216 0.4789 1
O30 0.8568 0.7253 0.5234 1
O31 0.8854 0.2205 0.2269 1
O32 0.9381 0.3839 0.6088 1
O33 0.9508 0.1620 0.8392 1
```

## Properties
The calculation puts the energy of formation from the pure elements at -1678.7 meV per atom. The calculation puts the raw total energy at -6.39 eV/atom. For the total magnetization, the calculation gives 2.000 μB per formula unit.